VASP calculation (PBE) on a relaxed structure of Ca2Al4Si6O21.

Formation energy = -306 kJ/mol of atoms
Space group = Pc (7)
Total DFT energy (no corrections) = -7.45 eV per atom

The structure in extended XYZ format:
```
66
Lattice="-11.156 -11.752 6.968 1.129 -4.042 -5.009 7.246 -5.820 1.785" Properties=species:S:1:pos:R:3 pbc="T T T"
O 3.421 -12.840 -0.488
O -1.114 -14.337 1.468
O -2.038 -8.889 1.689
O 2.018 -7.988 -1.764
Al 3.936 -5.508 1.408
Ca -4.228 -17.907 2.217
Si 2.352 -9.538 -2.256
Si 1.736 -12.360 2.698
Si -3.133 -20.940 3.528
O -6.882 -14.469 1.321
O -6.174 -11.974 0.569
O 0.395 -13.053 3.324
O -2.186 -8.738 -1.018
O 5.562 -6.062 1.892
O 3.743 -10.238 0.768
O 1.032 -8.594 1.370
O 3.945 -9.789 -2.286
O -1.279 -18.188 3.450
Si 4.005 -6.693 -4.086
O -4.361 -16.135 7.100
O -5.018 -12.741 3.085
Si -2.243 -18.347 4.772
O -8.787 -12.385 4.412
O -3.391 -17.176 4.468
O -7.613 -13.214 6.966
O 1.251 -5.559 -1.587
Al 0.633 -4.725 -0.161
Si -7.398 -13.081 0.678
Ca 1.110 -15.407 2.450
Si -2.667 -10.271 2.292
O -2.885 -10.198 3.900
Al -1.238 -12.994 2.651
O -4.556 -14.483 5.074
O -6.645 -9.955 3.010
O -2.724 -3.839 1.504
Si -2.364 -4.675 0.092
O 3.625 -6.037 -2.635
O -4.045 -10.654 1.473
O -10.284 -12.153 6.868
Al -4.662 -12.354 1.430
O -3.036 -19.781 4.681
O -4.091 -12.005 5.513
Al -8.647 -12.036 6.112
Si -2.832 -8.266 -2.465
Al -3.505 -15.810 5.579
O -3.517 -13.422 0.690
O -2.496 -13.306 3.786
O -1.968 -15.088 6.016
Ca -0.348 -10.216 0.205
Si -2.364 -14.501 0.399
O -4.526 -7.846 0.657
O 2.434 -11.322 3.733
O -1.497 -11.382 1.920
Al 2.661 -11.366 0.011
O -2.172 -6.237 0.428
O 0.549 -5.709 1.288
Si -4.019 -13.145 4.281
O 1.495 -3.239 0.287
O 1.373 -11.673 1.244
O 4.085 -3.743 1.049
O 1.608 -10.503 -1.137
O 3.353 -6.323 -0.015
Ca 0.575 -6.121 -3.939
O -0.948 -3.956 -0.334
Al -2.751 -7.860 0.440
Si 2.620 -6.498 -1.421
```

VASP calculation (PBE) on a relaxed structure of CaAl2Si2O12.

Formation energy = -224 kJ/mol of atoms
Energy above the lowest structure with this stoichiometry = 0.0 meV/atom
Space group = P2_1 (4)
Total DFT energy (no corrections) = -6.89 eV per atom

The structure in extended XYZ format:
```
68
Lattice="10.596 0.000 0.000 0.000 9.360 0.000 0.000 0.005 10.304" Properties=species:S:1:pos:R:3 pbc="T T T"
Ca 9.882 2.625 0.219
O 8.226 2.230 3.662
Al 3.586 4.015 3.935
O 5.297 0.737 7.835
Si 6.557 5.402 4.388
O 3.491 4.191 2.215
O 4.308 2.297 0.462
O 10.407 3.929 2.704
O 6.905 8.820 2.569
O 7.493 4.624 5.535
O 0.244 4.676 9.726
O 8.833 8.941 7.735
O 3.208 4.689 9.924
O 10.462 4.832 5.745
O 2.193 6.940 1.160
O 2.195 4.741 4.768
Si 4.131 3.862 0.756
O 1.607 0.545 7.735
Ca 0.733 6.873 4.972
O 0.645 3.010 2.664
Al 8.884 5.349 6.369
O 1.825 6.338 2.171
O 10.595 8.628 2.469
Al 7.072 5.311 1.213
Si 9.429 5.503 9.548
O 9.966 7.602 2.748
O 1.911 4.243 7.377
O 8.506 4.676 0.379
O 1.453 2.419 9.669
O 6.305 6.958 4.702
O 2.565 0.024 5.020
Si 1.452 0.804 9.315
O 10.558 9.015 5.625
O 5.217 8.899 0.437
O 3.819 2.352 4.467
O 8.662 1.609 2.690
Al 1.773 4.054 9.090
O 5.943 6.355 7.640
Al 1.300 0.749 6.030
O 7.124 3.026 8.133
O 7.864 9.341 5.284
Ca 4.584 6.740 10.085
O 4.668 1.762 7.555
O 9.117 7.012 5.837
O 10.515 0.466 9.866
O 7.491 2.425 9.143
O 5.109 5.436 7.600
O 8.789 5.174 8.089
O 7.209 5.122 2.927
Al 6.598 8.616 4.273
Si 9.037 8.628 6.171
Si 3.739 0.736 4.132
O 5.259 0.349 4.679
O 2.928 7.135 6.642
O 2.600 0.033 10.164
O 3.364 7.756 7.614
O 5.164 4.533 4.559
O 3.535 0.424 2.569
Al 3.896 0.655 0.880
O 1.007 2.407 5.602
O 5.542 4.689 0.577
O 9.606 7.068 9.842
Al 9.194 8.710 9.424
Si 6.750 8.560 0.988
O 7.898 9.331 0.140
O 6.752 6.946 0.634
Si 1.259 3.962 5.915
Ca 6.031 2.492 5.331
```

VASP calculation (PBE) on a relaxed structure of Ca3Al4SiO12.

Formation energy = -302 kJ/mol of atoms
Space group = P1 (1)
Total DFT energy (no corrections) = -7.01 eV per atom

The structure in extended XYZ format:
```
20
Lattice="-0.743 2.373 4.888 -2.299 2.230 -4.488 -7.618 -6.142 0.130" Properties=species:S:1:pos:R:3 pbc="T T T"
O -8.623 -1.595 2.021
O -9.335 -1.716 -1.524
O -5.771 -1.874 1.452
O -4.086 0.167 2.408
Al -7.866 -2.758 -1.533
O -1.410 0.303 2.219
O -5.218 -1.774 4.016
Al -7.317 -2.765 1.634
O -6.530 -1.642 -1.888
Al -6.492 0.285 -1.993
O -7.610 -3.572 0.049
Ca -7.456 -5.983 0.115
Al -3.385 1.198 -1.097
O -2.116 0.053 -1.687
O -4.912 0.329 -0.929
O -3.146 -1.969 0.975
Ca -4.713 -1.927 -0.617
Si -2.820 1.182 2.081
O -2.956 1.811 0.548
Ca -5.982 0.367 1.156
```

Question: Look up the total DFT energy (no corrections) of the third one.
Answer: -7.01 eV per atom